--- a ---
A plane-wave DFT calculation with PBE was carried out for crystalline BNF4 at its relaxed geometry.

Values from the calculation:
The crystal system is orthorhombic.

abc: 7.7846 5.7561 7.8832
angles: 90.00 90.00 90.00
Fractional coordinates of all 24 atoms:
B 0.0357 0.2500 0.1696
B 0.4643 0.7500 0.6696
B 0.5357 0.2500 0.3304
B 0.9643 0.7500 0.8304
N 0.0041 0.2500 0.7387
N 0.4959 0.7500 0.2387
N 0.5041 0.2500 0.7613
N 0.9959 0.7500 0.2613
F 0.0263 0.0546 0.2963
F 0.0263 0.4454 0.2963
F 0.1051 0.7500 0.9321
F 0.1902 0.2500 0.0903
F 0.3098 0.7500 0.5903
F 0.3949 0.2500 0.4321
F 0.4737 0.5546 0.7963
F 0.4737 0.9454 0.7963
F 0.5263 0.0546 0.2037
F 0.5263 0.4454 0.2037
F 0.6051 0.7500 0.5679
F 0.6902 0.2500 0.4097
F 0.8098 0.7500 0.9097
F 0.8949 0.2500 0.0679
F 0.9737 0.5546 0.7037
F 0.9737 0.9454 0.7037

--- b ---
A plane-wave DFT calculation with PBE was carried out for crystalline BNF4 at its relaxed geometry.

Values from the calculation:
The crystal system is orthorhombic.

abc: 7.6092 4.9369 7.8911
angles: 90.00 90.00 90.00
Fractional coordinates of all 24 atoms:
B 0.0539 0.2500 0.1715
B 0.4461 0.7500 0.6715
B 0.5539 0.2500 0.3285
B 0.9461 0.7500 0.8285
N 0.1254 0.2500 0.7488
N 0.3746 0.7500 0.2488
N 0.6254 0.2500 0.7512
N 0.8746 0.7500 0.2512
F 0.0573 0.0152 0.2895
F 0.0573 0.4848 0.2895
F 0.0986 0.7500 0.9197
F 0.2070 0.2500 0.0791
F 0.2930 0.7500 0.5791
F 0.4014 0.2500 0.4197
F 0.4427 0.5152 0.7895
F 0.4427 0.9848 0.7895
F 0.5573 0.0152 0.2105
F 0.5573 0.4848 0.2105
F 0.5986 0.7500 0.5803
F 0.7070 0.2500 0.4209
F 0.7930 0.7500 0.9209
F 0.9014 0.2500 0.0803
F 0.9427 0.5152 0.7105
F 0.9427 0.9848 0.7105

Which of them is the most stable, and which is the least stable? a and b, in that order.

--- a ---
A plane-wave DFT calculation with PBE was carried out for crystalline ZnB2N4F8 at its relaxed geometry.

Values from the calculation:
The crystal system is orthorhombic.

abc: 12.5030 7.3072 12.4416
angles: 90.00 90.00 90.00
Fractional coordinates of all 60 atoms:
Zn 0.2064 0.2500 0.0889
Zn 0.2936 0.7500 0.5889
Zn 0.7064 0.2500 0.4111
Zn 0.7936 0.7500 0.9111
B 0.0301 0.2500 0.6824
B 0.1844 0.7500 0.9149
B 0.3156 0.2500 0.4149
B 0.4699 0.7500 0.1824
B 0.5301 0.2500 0.8176
B 0.6844 0.7500 0.5851
B 0.8156 0.2500 0.0851
B 0.9699 0.7500 0.3176
N 0.0578 0.2500 0.0215
N 0.2072 0.7500 0.4403
N 0.2447 0.5260 0.6683
N 0.2447 0.9740 0.6683
N 0.2553 0.0260 0.1683
N 0.2553 0.4740 0.1683
N 0.2928 0.2500 0.9403
N 0.4422 0.7500 0.5215
N 0.5578 0.2500 0.4785
N 0.7072 0.7500 0.0597
N 0.7447 0.5260 0.8317
N 0.7447 0.9740 0.8317
N 0.7553 0.0260 0.3317
N 0.7553 0.4740 0.3317
N 0.7928 0.2500 0.5597
N 0.9422 0.7500 0.9785
F 0.0227 0.0929 0.6288
F 0.0227 0.4071 0.6288
F 0.0394 0.2500 0.7881
F 0.1324 0.7500 0.0187
F 0.1520 0.5910 0.8587
F 0.1520 0.9090 0.8587
F 0.2041 0.2500 0.4302
F 0.2174 0.7500 0.3358
F 0.2826 0.2500 0.8358
F 0.2959 0.7500 0.9302
F 0.3480 0.0910 0.3587
F 0.3480 0.4090 0.3587
F 0.3676 0.2500 0.5187
F 0.4606 0.7500 0.2881
F 0.4773 0.5929 0.1288
F 0.4773 0.9071 0.1288
F 0.5227 0.0929 0.8712
F 0.5227 0.4071 0.8712
F 0.5394 0.2500 0.7119
F 0.6324 0.7500 0.4813
F 0.6520 0.5910 0.6413
F 0.6520 0.9090 0.6413
F 0.7041 0.2500 0.0698
F 0.7174 0.7500 0.1642
F 0.7826 0.2500 0.6642
F 0.7959 0.7500 0.5698
F 0.8480 0.0910 0.1413
F 0.8480 0.4090 0.1413
F 0.8676 0.2500 0.9813
F 0.9606 0.7500 0.2119
F 0.9773 0.5929 0.3712
F 0.9773 0.9071 0.3712

--- b ---
A plane-wave DFT calculation with PBE was carried out for crystalline ZnB2N4F8 at its relaxed geometry.

Values from the calculation:
The crystal system is orthorhombic.

abc: 11.8977 5.6284 16.0009
angles: 90.00 90.00 90.00
Fractional coordinates of all 60 atoms:
Zn 0.1482 0.2500 0.1269
Zn 0.3518 0.7500 0.6269
Zn 0.6482 0.2500 0.3731
Zn 0.8518 0.7500 0.8731
B 0.0021 0.2500 0.8186
B 0.2256 0.2500 0.3943
B 0.2744 0.7500 0.8943
B 0.4979 0.7500 0.3186
B 0.5021 0.2500 0.6814
B 0.7256 0.2500 0.1057
B 0.7744 0.7500 0.6057
B 0.9979 0.7500 0.1814
N 0.0465 0.7500 0.4918
N 0.1504 0.2500 0.9975
N 0.2329 0.0007 0.6612
N 0.2329 0.4993 0.6612
N 0.2671 0.5007 0.1612
N 0.2671 0.9993 0.1612
N 0.3496 0.7500 0.4975
N 0.4535 0.2500 0.9918
N 0.5465 0.7500 0.0082
N 0.6504 0.2500 0.5025
N 0.7329 0.0007 0.8388
N 0.7329 0.4993 0.8388
N 0.7671 0.5007 0.3388
N 0.7671 0.9993 0.3388
N 0.8496 0.7500 0.0025
N 0.9535 0.2500 0.5082
F 0.0339 0.5383 0.1322
F 0.0339 0.9617 0.1322
F 0.0522 0.7500 0.2568
F 0.0580 0.2500 0.5397
F 0.1172 0.2500 0.8153
F 0.1830 0.0468 0.3673
F 0.1830 0.4532 0.3673
F 0.1901 0.7500 0.9493
F 0.3099 0.2500 0.4493
F 0.3170 0.5468 0.8673
F 0.3170 0.9532 0.8673
F 0.3828 0.7500 0.3153
F 0.4420 0.7500 0.0397
F 0.4478 0.2500 0.7568
F 0.4661 0.0383 0.6322
F 0.4661 0.4617 0.6322
F 0.5339 0.5383 0.3678
F 0.5339 0.9617 0.3678
F 0.5522 0.7500 0.2432
F 0.5580 0.2500 0.9603
F 0.6172 0.2500 0.6847
F 0.6830 0.0468 0.1327
F 0.6830 0.4532 0.1327
F 0.6901 0.7500 0.5507
F 0.8099 0.2500 0.0507
F 0.8170 0.5468 0.6327
F 0.8170 0.9532 0.6327
F 0.8828 0.7500 0.1847
F 0.9420 0.7500 0.4603
F 0.9478 0.2500 0.7432
F 0.9661 0.0383 0.8678
F 0.9661 0.4617 0.8678

Which of them is the most stable, and which is the least stable? b and a, in that order.